(1)
The following is a PBE-GGA calculation of Rb2YTlI6 after structural relaxation, from Materials Project.

```
data_Rb2YTlI6
_chemical_formula_sum 'Rb2 Y1 Tl1 I6'
_space_group_name_H-M_alt 'P 1'
_space_group_IT_number 1
_cell_length_a 9.0524
_cell_length_b 9.0524
_cell_length_c 9.0524
_cell_angle_alpha 60.00
_cell_angle_beta 60.00
_cell_angle_gamma 60.00
loop_
_space_group_symop_operation_xyz
'x,y,z'
loop_
_atom_site_label
_atom_site_type_symbol
_atom_site_fract_x
_atom_site_fract_y
_atom_site_fract_z
_atom_site_occupancy
Rb1 Rb 0.2500 0.2500 0.2500 1
Rb2 Rb 0.7500 0.7500 0.7500 1
Y1 Y 0.0000 0.0000 0.0000 1
Tl1 Tl 0.5000 0.5000 0.5000 1
I1 I 0.2364 0.2364 0.7636 1
I2 I 0.2364 0.7636 0.2364 1
I3 I 0.2364 0.7636 0.7636 1
I4 I 0.7636 0.2364 0.2364 1
I5 I 0.7636 0.2364 0.7636 1
I6 I 0.7636 0.7636 0.2364 1
```

Summary:
**Electronic total energy**: -0.23962 Ry per atom
**SG**: Fm-3m, No. 225
**Energy of formation**: -1.49 eV/atom
**M_tot**: 0.0 μB per formula unit

---

(2)
The following is a PBE-GGA calculation of Ba4YCu3O9 after structural relaxation, from Materials Project.

```
data_Ba4YCu3O9
_chemical_formula_sum 'Ba8 Y2 Cu6 O18'
_space_group_name_H-M_alt 'P 1'
_space_group_IT_number 1
_cell_length_a 8.1649
_cell_length_b 8.1649
_cell_length_c 8.1649
_cell_angle_alpha 90.00
_cell_angle_beta 90.00
_cell_angle_gamma 90.00
loop_
_space_group_symop_operation_xyz
'x,y,z'
loop_
_atom_site_label
_atom_site_type_symbol
_atom_site_fract_x
_atom_site_fract_y
_atom_site_fract_z
_atom_site_occupancy
Ba1 Ba 0.2500 0.2500 0.2500 1
Ba2 Ba 0.2500 0.2500 0.7500 1
Ba3 Ba 0.2500 0.7500 0.2500 1
Ba4 Ba 0.2500 0.7500 0.7500 1
Ba5 Ba 0.7500 0.2500 0.2500 1
Ba6 Ba 0.7500 0.2500 0.7500 1
Ba7 Ba 0.7500 0.7500 0.2500 1
Ba8 Ba 0.7500 0.7500 0.7500 1
Y1 Y 0.0000 0.0000 0.0000 1
Y2 Y 0.5000 0.5000 0.5000 1
Cu1 Cu 0.0000 0.0000 0.5000 1
Cu2 Cu 0.0000 0.5000 0.0000 1
Cu3 Cu 0.0000 0.5000 0.5000 1
Cu4 Cu 0.5000 0.0000 0.0000 1
Cu5 Cu 0.5000 0.0000 0.5000 1
Cu6 Cu 0.5000 0.5000 0.0000 1
O1 O 0.0000 0.0000 0.2731 1
O2 O 0.0000 0.0000 0.7269 1
O3 O 0.0000 0.2500 0.5000 1
O4 O 0.0000 0.2731 0.0000 1
O5 O 0.0000 0.7269 0.0000 1
O6 O 0.0000 0.7500 0.5000 1
O7 O 0.2269 0.5000 0.5000 1
O8 O 0.2500 0.5000 0.0000 1
O9 O 0.2731 0.0000 0.0000 1
O10 O 0.5000 0.0000 0.2500 1
O11 O 0.5000 0.0000 0.7500 1
O12 O 0.5000 0.2269 0.5000 1
O13 O 0.5000 0.5000 0.2269 1
O14 O 0.5000 0.5000 0.7731 1
O15 O 0.5000 0.7731 0.5000 1
O16 O 0.7269 0.0000 0.0000 1
O17 O 0.7500 0.5000 0.0000 1
O18 O 0.7731 0.5000 0.5000 1
```

Summary:
**Electronic total energy**: -0.45519 Ry per atom
**SG**: Pm-3n, No. 223
**Energy of formation**: -2.38 eV/atom

---

(3)
The following is a PBE-GGA calculation of CaB3H5O8 after structural relaxation, from Materials Project.

```
data_CaB3H5O8
_chemical_formula_sum 'Ca4 B12 H20 O32'
_space_group_name_H-M_alt 'P 1'
_space_group_IT_number 1
_cell_length_a 6.1658
_cell_length_b 11.2448
_cell_length_c 8.8622
_cell_angle_alpha 90.00
_cell_angle_beta 110.44
_cell_angle_gamma 90.00
loop_
_space_group_symop_operation_xyz
'x,y,z'
loop_
_atom_site_label
_atom_site_type_symbol
_atom_site_fract_x
_atom_site_fract_y
_atom_site_fract_z
_atom_site_occupancy
Ca1 Ca 0.2376 0.2071 0.1364 1
Ca2 Ca 0.2376 0.2929 0.6364 1
Ca3 Ca 0.7624 0.7071 0.3636 1
Ca4 Ca 0.7624 0.7929 0.8636 1
B1 B 0.0011 0.5514 0.7807 1
B2 B 0.0011 0.9486 0.2807 1
B3 B 0.1873 0.7090 0.6666 1
B4 B 0.1873 0.7910 0.1666 1
B5 B 0.3362 0.6712 0.9626 1
B6 B 0.3362 0.8288 0.4626 1
B7 B 0.6638 0.1712 0.5374 1
B8 B 0.6638 0.3288 0.0374 1
B9 B 0.8127 0.2090 0.8334 1
B10 B 0.8127 0.2910 0.3334 1
B11 B 0.9989 0.0514 0.7193 1
B12 B 0.9989 0.4486 0.2193 1
H1 H 0.1686 0.6049 0.3187 1
H2 H 0.1686 0.8951 0.8187 1
H3 H 0.1973 0.0253 0.5746 1
H4 H 0.1973 0.4747 0.0746 1
H5 H 0.3444 0.5299 0.5324 1
H6 H 0.3444 0.9701 0.0324 1
H7 H 0.3648 0.0806 0.4210 1
H8 H 0.3648 0.4194 0.9210 1
H9 H 0.4502 0.0218 0.7987 1
H10 H 0.4502 0.4782 0.2987 1
H11 H 0.5498 0.5218 0.7013 1
H12 H 0.5498 0.9782 0.2013 1
H13 H 0.6352 0.5806 0.0790 1
H14 H 0.6352 0.9194 0.5790 1
H15 H 0.6556 0.0299 0.9676 1
H16 H 0.6556 0.4701 0.4676 1
H17 H 0.8027 0.5253 0.9254 1
H18 H 0.8027 0.9747 0.4254 1
H19 H 0.8314 0.1049 0.1813 1
H20 H 0.8314 0.3951 0.6813 1
O1 O 0.0091 0.1457 0.8411 1
O2 O 0.0091 0.3543 0.3411 1
O3 O 0.0168 0.5681 0.2919 1
O4 O 0.0168 0.9319 0.7919 1
O5 O 0.1891 0.7492 0.5208 1
O6 O 0.1891 0.7508 0.0208 1
O7 O 0.2016 0.0761 0.6685 1
O8 O 0.2016 0.4239 0.1685 1
O9 O 0.2226 0.5555 0.9174 1
O10 O 0.2226 0.9445 0.4174 1
O11 O 0.3591 0.7301 0.8130 1
O12 O 0.3591 0.7699 0.3130 1
O13 O 0.4149 0.0224 0.1242 1
O14 O 0.4149 0.4776 0.6242 1
O15 O 0.4299 0.1613 0.4188 1
O16 O 0.4299 0.3387 0.9188 1
O17 O 0.5701 0.6613 0.0812 1
O18 O 0.5701 0.8387 0.5812 1
O19 O 0.5851 0.5224 0.3758 1
O20 O 0.5851 0.9776 0.8758 1
O21 O 0.6409 0.2301 0.6870 1
O22 O 0.6409 0.2699 0.1870 1
O23 O 0.7774 0.0555 0.5826 1
O24 O 0.7774 0.4445 0.0826 1
O25 O 0.7984 0.5761 0.8315 1
O26 O 0.7984 0.9239 0.3315 1
O27 O 0.8109 0.2492 0.9792 1
O28 O 0.8109 0.2508 0.4792 1
O29 O 0.9832 0.0681 0.2081 1
O30 O 0.9832 0.4319 0.7081 1
O31 O 0.9909 0.6457 0.6589 1
O32 O 0.9909 0.8543 0.1589 1
```

Summary:
**Electronic total energy**: -0.48266 Ry per atom
**SG**: P2_1/c, No. 14
**Energy of formation**: -2.27 eV/atom
**Energy above the most stable polymorph in this dataset**: 4 meV/atom

---

(4)
The following is a PBE-GGA calculation of Mg14NbFe after structural relaxation, from Materials Project.

```
data_Mg14NbFe
_chemical_formula_sum 'Mg14 Nb1 Fe1'
_space_group_name_H-M_alt 'P 1'
_space_group_IT_number 1
_cell_length_a 9.9550
_cell_length_b 6.2819
_cell_length_c 6.2819
_cell_angle_alpha 57.63
_cell_angle_beta 90.00
_cell_angle_gamma 90.00
loop_
_space_group_symop_operation_xyz
'x,y,z'
loop_
_atom_site_label
_atom_site_type_symbol
_atom_site_fract_x
_atom_site_fract_y
_atom_site_fract_z
_atom_site_occupancy
Mg1 Mg 0.0000 0.0000 0.0000 1
Mg2 Mg 0.0000 0.0038 0.4998 1
Mg3 Mg 0.0000 0.4983 0.4983 1
Mg4 Mg 0.0000 0.4998 0.0038 1
Mg5 Mg 0.2504 0.6602 0.6602 1
Mg6 Mg 0.2671 0.1662 0.6704 1
Mg7 Mg 0.2671 0.6704 0.1662 1
Mg8 Mg 0.2682 0.1543 0.1543 1
Mg9 Mg 0.5000 0.5093 0.9983 1
Mg10 Mg 0.5000 0.9983 0.5093 1
Mg11 Mg 0.7318 0.1543 0.1543 1
Mg12 Mg 0.7329 0.1662 0.6704 1
Mg13 Mg 0.7329 0.6704 0.1662 1
Mg14 Mg 0.7496 0.6602 0.6602 1
Nb1 Nb 0.5000 0.5098 0.5098 1
Fe1 Fe 0.5000 0.0015 0.0015 1
```

Summary:
**Electronic total energy**: -0.17664 Ry per atom
**SG**: Amm2, No. 38
**Energy of formation**: 0.16 eV/atom
**Energy above the most stable polymorph in this dataset**: 0 meV/atom
**M_tot**: 0.0 μB per formula unit

---

(5)
The following is a PBE-GGA calculation of NaNdSiO4 after structural relaxation, from Materials Project.

```
data_NaNdSiO4
_chemical_formula_sum 'Na12 Nd12 Si12 O48'
_space_group_name_H-M_alt 'P 1'
_space_group_IT_number 1
_cell_length_a 21.1056
_cell_length_b 9.3718
_cell_length_c 5.5622
_cell_angle_alpha 90.00
_cell_angle_beta 90.00
_cell_angle_gamma 90.00
loop_
_space_group_symop_operation_xyz
'x,y,z'
loop_
_atom_site_label
_atom_site_type_symbol
_atom_site_fract_x
_atom_site_fract_y
_atom_site_fract_z
_atom_site_occupancy
Na1 Na 0.0561 0.0674 0.0000 1
Na2 Na 0.1087 0.5732 0.5505 1
Na3 Na 0.2236 0.4258 0.0602 1
Na4 Na 0.2764 0.9258 0.5602 1
Na5 Na 0.3913 0.0732 0.0505 1
Na6 Na 0.4439 0.5674 0.5000 1
Na7 Na 0.5561 0.4326 0.0000 1
Na8 Na 0.6087 0.9268 0.5505 1
Na9 Na 0.7236 0.0742 0.0602 1
Na10 Na 0.7764 0.5742 0.5602 1
Na11 Na 0.8913 0.4268 0.0505 1
Na12 Na 0.9439 0.9326 0.5000 1
Nd1 Nd 0.0006 0.6963 0.0066 1
Nd2 Nd 0.1661 0.1968 0.5721 1
Nd3 Nd 0.1675 0.8008 0.0551 1
Nd4 Nd 0.3325 0.3008 0.5551 1
Nd5 Nd 0.3339 0.6968 0.0721 1
Nd6 Nd 0.4994 0.1963 0.5066 1
Nd7 Nd 0.5006 0.8037 0.0066 1
Nd8 Nd 0.6661 0.3032 0.5721 1
Nd9 Nd 0.6675 0.6992 0.0551 1
Nd10 Nd 0.8325 0.1992 0.5551 1
Nd11 Nd 0.8339 0.8032 0.0721 1
Nd12 Nd 0.9994 0.3037 0.5066 1
Si1 Si 0.0767 0.4140 0.0514 1
Si2 Si 0.0910 0.9137 0.5158 1
Si3 Si 0.2432 0.0830 0.0497 1
Si4 Si 0.2568 0.5830 0.5497 1
Si5 Si 0.4090 0.4137 0.0158 1
Si6 Si 0.4233 0.9140 0.5514 1
Si7 Si 0.5767 0.0860 0.0514 1
Si8 Si 0.5910 0.5863 0.5158 1
Si9 Si 0.7432 0.4170 0.0497 1
Si10 Si 0.7568 0.9170 0.5497 1
Si11 Si 0.9090 0.0863 0.0158 1
Si12 Si 0.9233 0.5860 0.5514 1
O1 O 0.0014 0.4423 0.1201 1
O2 O 0.0560 0.0710 0.5069 1
O3 O 0.0688 0.8106 0.2920 1
O4 O 0.0769 0.8354 0.7741 1
O5 O 0.0838 0.3076 0.8182 1
O6 O 0.1060 0.3417 0.2981 1
O7 O 0.1088 0.5702 0.9944 1
O8 O 0.1672 0.9423 0.4735 1
O9 O 0.1678 0.0597 0.9781 1
O10 O 0.2260 0.4252 0.6135 1
O11 O 0.2264 0.6459 0.2983 1
O12 O 0.2470 0.6955 0.7741 1
O13 O 0.2530 0.1955 0.2741 1
O14 O 0.2736 0.1459 0.7983 1
O15 O 0.2740 0.9252 0.1135 1
O16 O 0.3322 0.5597 0.4781 1
O17 O 0.3328 0.4423 0.9735 1
O18 O 0.3912 0.0702 0.4944 1
O19 O 0.3940 0.8417 0.7981 1
O20 O 0.4162 0.8076 0.3182 1
O21 O 0.4231 0.3354 0.2741 1
O22 O 0.4312 0.3106 0.7920 1
O23 O 0.4440 0.5710 0.0069 1
O24 O 0.4986 0.9423 0.6201 1
O25 O 0.5014 0.0577 0.1201 1
O26 O 0.5560 0.4290 0.5069 1
O27 O 0.5688 0.6894 0.2920 1
O28 O 0.5769 0.6646 0.7741 1
O29 O 0.5838 0.1924 0.8182 1
O30 O 0.6060 0.1583 0.2981 1
O31 O 0.6088 0.9298 0.9944 1
O32 O 0.6672 0.5577 0.4735 1
O33 O 0.6678 0.4403 0.9781 1
O34 O 0.7260 0.0748 0.6135 1
O35 O 0.7264 0.8541 0.2983 1
O36 O 0.7470 0.8045 0.7741 1
O37 O 0.7530 0.3045 0.2741 1
O38 O 0.7736 0.3541 0.7983 1
O39 O 0.7740 0.5748 0.1135 1
O40 O 0.8322 0.9403 0.4781 1
O41 O 0.8328 0.0577 0.9735 1
O42 O 0.8912 0.4298 0.4944 1
O43 O 0.8940 0.6583 0.7981 1
O44 O 0.9162 0.6924 0.3182 1
O45 O 0.9231 0.1646 0.2741 1
O46 O 0.9312 0.1894 0.7920 1
O47 O 0.9440 0.9290 0.0069 1
O48 O 0.9986 0.5577 0.6201 1
```

Summary:
**Electronic total energy**: -0.54172 Ry per atom
**SG**: Pna2_1, No. 33
**Energy of formation**: -3.29 eV/atom

---

(6)
The following is a PBE-GGA calculation of TbAlCu2 after structural relaxation, from Materials Project.

```
data_TbAlCu2
_chemical_formula_sum 'Tb4 Al4 Cu8'
_space_group_name_H-M_alt 'P 1'
_space_group_IT_number 1
_cell_length_a 6.4655
_cell_length_b 6.4655
_cell_length_c 6.4655
_cell_angle_alpha 90.00
_cell_angle_beta 90.00
_cell_angle_gamma 90.00
loop_
_space_group_symop_operation_xyz
'x,y,z'
loop_
_atom_site_label
_atom_site_type_symbol
_atom_site_fract_x
_atom_site_fract_y
_atom_site_fract_z
_atom_site_occupancy
Tb1 Tb 0.0000 0.0000 0.0000 1
Tb2 Tb 0.0000 0.5000 0.5000 1
Tb3 Tb 0.5000 0.0000 0.5000 1
Tb4 Tb 0.5000 0.5000 0.0000 1
Al1 Al 0.0000 0.0000 0.5000 1
Al2 Al 0.0000 0.5000 0.0000 1
Al3 Al 0.5000 0.0000 0.0000 1
Al4 Al 0.5000 0.5000 0.5000 1
Cu1 Cu 0.2500 0.2500 0.2500 1
Cu2 Cu 0.2500 0.2500 0.7500 1
Cu3 Cu 0.2500 0.7500 0.2500 1
Cu4 Cu 0.2500 0.7500 0.7500 1
Cu5 Cu 0.7500 0.2500 0.2500 1
Cu6 Cu 0.7500 0.2500 0.7500 1
Cu7 Cu 0.7500 0.7500 0.2500 1
Cu8 Cu 0.7500 0.7500 0.7500 1
```

Summary:
**Electronic total energy**: -0.33010 Ry per atom
**SG**: Fm-3m, No. 225
**Energy of formation**: -0.35 eV/atom